[1]
Below is a geometry-optimized BaSn3 structure, with properties calculated at the PBE-GGA level.

a = 7.325 Å, b = 7.325 Å, c = 5.667 Å
α = 90.00°, β = 90.00°, γ = 120.00°
Element x y z (fractional)
Sn1 0.140 0.860 0.750
Sn2 0.721 0.860 0.750
Sn3 0.279 0.140 0.250
Sn4 0.140 0.279 0.750
Sn5 0.860 0.721 0.250
Sn6 0.860 0.140 0.250
Ba1 0.333 0.667 0.250
Ba2 0.667 0.333 0.750

Summary:
The electronic total energy comes out at -3.930 eV per atom.

[2]
Below is a geometry-optimized Ba3Sn5 structure, with properties calculated at the PBE-GGA level.

a = 7.207 Å, b = 7.207 Å, c = 11.319 Å
α = 90.00°, β = 90.00°, γ = 101.65°
Element x y z (fractional)
Sn1 0.404 0.020 0.750
Sn2 0.020 0.404 0.750
Sn3 0.193 0.193 0.940
Sn4 0.551 0.551 0.250
Sn5 0.596 0.980 0.250
Sn6 0.449 0.449 0.750
Sn7 0.193 0.193 0.560
Sn8 0.980 0.596 0.250
Sn9 0.807 0.807 0.060
Sn10 0.807 0.807 0.440
Ba1 0.295 0.705 0.500
Ba2 0.705 0.295 0.500
Ba3 0.705 0.295 0.000
Ba4 0.295 0.705 0.000
Ba5 0.850 0.850 0.750
Ba6 0.150 0.150 0.250

Summary:
The electronic total energy comes out at -3.852 eV per atom.

[3]
Below is a geometry-optimized BaSn5 structure, with properties calculated at the PBE-GGA level.

a = 5.469 Å, b = 5.469 Å, c = 7.188 Å
α = 90.00°, β = 90.00°, γ = 120.00°
Element x y z (fractional)
Sn1 0.667 0.333 0.793
Sn2 0.333 0.667 0.793
Sn3 0.000 0.000 0.000
Sn4 0.333 0.667 0.207
Sn5 0.667 0.333 0.207
Ba1 0.000 0.000 0.500

Summary:
The electronic total energy comes out at -3.930 eV per atom.

[4]
Below is a geometry-optimized BaZnSn structure, with properties calculated at the PBE-GGA level.

a = 4.746 Å, b = 4.746 Å, c = 10.001 Å
α = 90.00°, β = 90.00°, γ = 120.00°
Element x y z (fractional)
Ba1 0.000 0.000 0.500
Ba2 0.000 0.000 0.000
Sn1 0.667 0.333 0.750
Sn2 0.333 0.667 0.250
Zn1 0.333 0.667 0.750
Zn2 0.667 0.333 0.250

Summary:
The electronic total energy comes out at -2.922 eV per atom.

[5]
Below is a geometry-optimized BaSr3 structure, with properties calculated at the PBE-GGA level.

a = 8.653 Å, b = 8.653 Å, c = 7.108 Å
α = 90.00°, β = 90.00°, γ = 120.00°
Element x y z (fractional)
Ba1 0.667 0.333 0.250
Ba2 0.333 0.667 0.750
Sr1 0.834 0.166 0.750
Sr2 0.166 0.834 0.250
Sr3 0.834 0.667 0.750
Sr4 0.166 0.333 0.250
Sr5 0.667 0.834 0.250
Sr6 0.333 0.166 0.750

Summary:
The electronic total energy comes out at -1.727 eV per atom. The offset from the most stable computed form is 13 meV per atom.

[6]
Below is a geometry-optimized BaSr3 structure, with properties calculated at the PBE-GGA level.

a = 6.812 Å, b = 6.812 Å, c = 6.812 Å
α = 60.00°, β = 60.00°, γ = 60.00°
Element x y z (fractional)
Sr1 0.250 0.250 0.250
Sr2 0.750 0.750 0.750
Sr3 0.500 0.500 0.500
Ba1 0.000 0.000 0.000

Summary:
The electronic total energy comes out at -1.737 eV per atom. The offset from the most stable computed form is 3 meV per atom.

[7]
Below is a geometry-optimized BaSr3 structure, with properties calculated at the PBE-GGA level.

a = 7.478 Å, b = 7.478 Å, c = 7.478 Å
α = 131.46°, β = 131.46°, γ = 71.08°
Element x y z (fractional)
Ba1 0.000 0.000 0.000
Sr1 0.250 0.750 0.500
Sr2 0.500 0.500 0.000
Sr3 0.750 0.250 0.500

Summary:
The electronic total energy comes out at -1.740 eV per atom. The offset from the most stable computed form is 0 meV per atom.

[8]
Below is a geometry-optimized BaSrTl2 structure, with properties calculated at the PBE-GGA level.

a = 5.974 Å, b = 5.974 Å, c = 5.974 Å
α = 60.00°, β = 60.00°, γ = 60.00°
Element x y z (fractional)
Ba1 0.500 0.500 0.500
Tl1 0.750 0.750 0.750
Tl2 0.250 0.250 0.250
Sr1 0.000 0.000 0.000

Summary:
The electronic total energy comes out at -2.502 eV per atom.

[9]
Below is a geometry-optimized BaTb2Te4 structure, with properties calculated at the PBE-GGA level.

a = 4.503 Å, b = 13.847 Å, c = 16.366 Å
α = 90.00°, β = 90.00°, γ = 90.00°
Element x y z (fractional)
Te1 0.250 0.372 0.971
Te2 0.750 0.205 0.162
Te3 0.250 0.473 0.216
Te4 0.250 0.872 0.529
Te5 0.250 0.295 0.662
Te6 0.250 0.795 0.838
Te7 0.250 0.590 0.577
Te8 0.250 0.973 0.284
Te9 0.750 0.027 0.716
Te10 0.750 0.410 0.423
Te11 0.750 0.128 0.471
Te12 0.250 0.090 0.923
Te13 0.750 0.910 0.077
Te14 0.750 0.628 0.029
Te15 0.750 0.527 0.784
Te16 0.750 0.705 0.338
Ba1 0.750 0.761 0.669
Ba2 0.250 0.739 0.169
Ba3 0.250 0.239 0.331
Ba4 0.750 0.261 0.831
Tb1 0.250 0.560 0.391
Tb2 0.750 0.940 0.891
Tb3 0.750 0.919 0.403
Tb4 0.250 0.581 0.903
Tb5 0.750 0.440 0.609
Tb6 0.250 0.060 0.109
Tb7 0.250 0.081 0.597
Tb8 0.750 0.419 0.097

Summary:
For the MP2020-corrected energy, the calculation gives -5.18 eV per atom. The electronic total energy comes out at -4.941 eV per atom.

[10]
Below is a geometry-optimized BaTe structure, with properties calculated at the PBE-GGA level.

a = 5.013 Å, b = 5.013 Å, c = 5.013 Å
α = 60.00°, β = 60.00°, γ = 60.00°
Element x y z (fractional)
Te1 0.500 0.500 0.500
Ba1 0.000 0.000 0.000

Summary:
For the MP2020-corrected energy, the calculation gives -4.53 eV per atom. The electronic total energy comes out at -4.324 eV per atom.

[11]
Below is a geometry-optimized Ba3Te structure, with properties calculated at the PBE-GGA level.

a = 7.981 Å, b = 7.981 Å, c = 6.237 Å
α = 90.00°, β = 90.00°, γ = 120.00°
Element x y z (fractional)
Ba1 0.822 0.178 0.750
Ba2 0.355 0.178 0.750
Ba3 0.178 0.822 0.250
Ba4 0.822 0.645 0.750
Ba5 0.178 0.355 0.250
Ba6 0.645 0.822 0.250
Te1 0.333 0.667 0.750
Te2 0.667 0.333 0.250

Summary:
For the MP2020-corrected energy, the calculation gives -2.87 eV per atom. The electronic total energy comes out at -2.768 eV per atom. The offset from the most stable computed form is 0 meV per atom.

[12]
Below is a geometry-optimized Ba3Te structure, with properties calculated at the PBE-GGA level.

a = 7.698 Å, b = 7.698 Å, c = 7.698 Å
α = 139.29°, β = 139.29°, γ = 58.93°
Element x y z (fractional)
Ba1 0.500 0.500 0.000
Ba2 0.250 0.750 0.500
Ba3 0.750 0.250 0.500
Te1 0.000 0.000 0.000

Summary:
For the MP2020-corrected energy, the calculation gives -2.87 eV per atom. The electronic total energy comes out at -2.765 eV per atom. The offset from the most stable computed form is 3 meV per atom.